No. 1
# NaSrB5O9, optimized geometry, DFT PBE
# **Energy of formation**: -47.20 eV per formula unit
data_NaSrB5O9
_cell_length_a 6.562
_cell_length_b 14.105
_cell_length_c 8.179
_cell_angle_alpha 90.00
_cell_angle_beta 106.69
_cell_angle_gamma 90.00
_symmetry_space_group_name_H-M 'P 1 21/c 1'
_symmetry_Int_Tables_number 14
loop_
_symmetry_equiv_pos_as_xyz
'x,y,z'
'-x,-y,-z'
'-x,y+1/2,-z+1/2'
'x,-y+1/2,z+1/2'
loop_
_atom_site_label
_atom_site_type_symbol
_atom_site_fract_x
_atom_site_fract_y
_atom_site_fract_z
Na1 Na 0.034 0.084 0.350
Sr1 Sr 0.398 0.730 0.439
B1 B 0.058 0.146 0.870
B2 B 0.090 0.247 0.626
B3 B 0.285 0.551 0.733
B4 B 0.342 0.112 0.733
B5 B 0.410 0.557 0.166
O1 O 0.014 0.727 0.755
O2 O 0.015 0.174 0.030
O3 O 0.072 0.561 0.697
O4 O 0.253 0.191 0.604
O5 O 0.273 0.021 0.650
O6 O 0.282 0.127 0.888
O7 O 0.338 0.646 0.146
O8 O 0.369 0.038 0.290
O9 O 0.420 0.625 0.722


No. 2
# BaCuO2, optimized geometry, DFT PBE
# **Energy of formation**: -7.66 eV per formula unit
data_BaCuO2
_cell_length_a 4.025
_cell_length_b 4.025
_cell_length_c 3.877
_cell_angle_alpha 90.00
_cell_angle_beta 90.00
_cell_angle_gamma 90.00
_symmetry_space_group_name_H-M 'P 4/m m m'
_symmetry_Int_Tables_number 123
_symmetry_space_group_name_Hall '-P 4 2'
loop_
_atom_site_label
_atom_site_type_symbol
_atom_site_fract_x
_atom_site_fract_y
_atom_site_fract_z
Ba1 Ba 0.000 0.000 0.000
Cu1 Cu 0.500 0.500 0.500
O1 O 0.000 0.500 0.500


No. 3
# AlCu3O6, optimized geometry, DFT PBE
# **Energy of formation**: -7.63 eV per formula unit
data_AlCu3O6
_cell_length_a 2.856
_cell_length_b 11.229
_cell_length_c 8.453
_cell_angle_alpha 90.00
_cell_angle_beta 99.51
_cell_angle_gamma 90.00
_symmetry_space_group_name_H-M 'P 1 21 1'
_symmetry_Int_Tables_number 4
loop_
_symmetry_equiv_pos_as_xyz
'x,y,z'
'-x,y+1/2,-z'
loop_
_atom_site_label
_atom_site_type_symbol
_atom_site_fract_x
_atom_site_fract_y
_atom_site_fract_z
Al1 Al 0.165 0.000 0.330
Cu1 Cu 0.060 0.747 0.108
Cu2 Cu 0.277 0.252 0.545
Cu3 Cu 0.398 0.753 0.769
O1 O 0.035 0.596 0.101
O2 O 0.079 0.903 0.146
O3 O 0.255 0.100 0.514
O4 O 0.292 0.406 0.589
O5 O 0.370 0.592 0.748
O6 O 0.396 0.901 0.782


Number 1: spin magnetization 0.00 μB/f.u., E_tot -7.6223 eV/atom. Number 2: spin magnetization 0.00 μB/f.u., E_tot -5.5497 eV/atom. Number 3: spin magnetization 0.05 μB/f.u., E_tot -4.9240 eV/atom.